(1)
# CsInI3, optimized geometry, DFT meta-GGA r2SCAN
# Formation energy from the elements: -1080 meV per atom
data_CsInI3
_space_group_name_H-M_alt 'P 1'
_space_group_IT_number 1
_cell_length_a 6.097
_cell_length_b 6.131
_cell_length_c 6.124
_cell_angle_alpha 89.99
_cell_angle_beta 90.00
_cell_angle_gamma 90.00
loop_
_space_group_symop_operation_xyz
'x,y,z'
loop_
_atom_site_label
_atom_site_type_symbol
_atom_site_fract_x
_atom_site_fract_y
_atom_site_fract_z
Cs1 Cs 0.500 0.993 0.001
In1 In 0.000 0.485 0.496
I1 I 0.500 0.487 0.495
I2 I 0.000 0.987 0.503
I3 I 0.000 0.487 0.996

---

(2)
# Li2ErIn, optimized geometry, DFT meta-GGA r2SCAN
# Formation energy from the elements: -357 meV per atom
data_Li2ErIn
_space_group_name_H-M_alt 'P 1'
_space_group_IT_number 1
_cell_length_a 4.782
_cell_length_b 4.782
_cell_length_c 4.782
_cell_angle_alpha 60.00
_cell_angle_beta 60.00
_cell_angle_gamma 60.00
loop_
_space_group_symop_operation_xyz
'x,y,z'
loop_
_atom_site_label
_atom_site_type_symbol
_atom_site_fract_x
_atom_site_fract_y
_atom_site_fract_z
Li1 Li 0.500 0.500 0.500
Li2 Li 0.000 0.000 0.000
Er1 Er 0.250 0.250 0.250
In1 In 0.750 0.750 0.750

---

(3)
# BaNa6O4, optimized geometry, DFT meta-GGA r2SCAN
# Formation energy from the elements: -1585 meV per atom
data_BaNa6O4
_space_group_name_H-M_alt 'P 1'
_space_group_IT_number 1
_cell_length_a 8.030
_cell_length_b 8.030
_cell_length_c 5.612
_cell_angle_alpha 90.00
_cell_angle_beta 90.00
_cell_angle_gamma 90.00
loop_
_space_group_symop_operation_xyz
'x,y,z'
loop_
_atom_site_label
_atom_site_type_symbol
_atom_site_fract_x
_atom_site_fract_y
_atom_site_fract_z
Ba1 Ba 0.500 0.500 0.000
Ba2 Ba 0.000 0.000 0.500
Na1 Na 0.286 0.286 0.500
Na2 Na 0.714 0.286 0.500
Na3 Na 0.000 0.500 0.484
Na4 Na 0.000 0.500 0.984
Na5 Na 0.286 0.714 0.500
Na6 Na 0.714 0.714 0.500
Na7 Na 0.786 0.786 0.000
Na8 Na 0.214 0.786 0.000
Na9 Na 0.500 0.000 0.016
Na10 Na 0.500 0.000 0.516
Na11 Na 0.786 0.214 0.000
Na12 Na 0.214 0.214 0.000
O1 O 0.000 0.270 0.736
O2 O 0.770 0.500 0.236
O3 O 0.230 0.500 0.236
O4 O 0.000 0.730 0.736
O5 O 0.500 0.770 0.764
O6 O 0.730 0.000 0.264
O7 O 0.270 0.000 0.264
O8 O 0.500 0.230 0.764

---

(4)
# SrAgBi, optimized geometry, DFT meta-GGA r2SCAN
# Formation energy from the elements: -696 meV per atom
data_SrAgBi
_space_group_name_H-M_alt 'P 1'
_space_group_IT_number 1
_cell_length_a 4.904
_cell_length_b 4.904
_cell_length_c 8.748
_cell_angle_alpha 90.00
_cell_angle_beta 90.00
_cell_angle_gamma 120.00
loop_
_space_group_symop_operation_xyz
'x,y,z'
loop_
_atom_site_label
_atom_site_type_symbol
_atom_site_fract_x
_atom_site_fract_y
_atom_site_fract_z
Sr1 Sr 0.000 0.000 0.000
Sr2 Sr 0.000 0.000 0.500
Ag1 Ag 0.333 0.667 0.250
Ag2 Ag 0.667 0.333 0.750
Bi1 Bi 0.333 0.667 0.750
Bi2 Bi 0.667 0.333 0.250

---

(5)
# IrN4Cl6, optimized geometry, DFT meta-GGA r2SCAN
# Formation energy from the elements: -150 meV per atom
data_IrN4Cl6
_space_group_name_H-M_alt 'P 1'
_space_group_IT_number 1
_cell_length_a 7.463
_cell_length_b 7.463
_cell_length_c 7.453
_cell_angle_alpha 115.68
_cell_angle_beta 115.68
_cell_angle_gamma 97.72
loop_
_space_group_symop_operation_xyz
'x,y,z'
loop_
_atom_site_label
_atom_site_type_symbol
_atom_site_fract_x
_atom_site_fract_y
_atom_site_fract_z
Ir1 Ir 0.016 0.016 0.000
N1 N 0.268 0.698 0.431
N2 N 0.267 0.837 0.569
N3 N 0.698 0.268 0.431
N4 N 0.837 0.267 0.569
Cl1 Cl 0.246 0.246 0.000
Cl2 Cl 0.218 0.218 0.408
Cl3 Cl 0.217 0.810 0.000
Cl4 Cl 0.782 0.782 0.000
Cl5 Cl 0.810 0.810 0.592
Cl6 Cl 0.810 0.217 0.000

---

(6)
# BaU2V2O12, optimized geometry, DFT meta-GGA r2SCAN
# Formation energy from the elements: -3040 meV per atom
data_BaU2V2O12
_space_group_name_H-M_alt 'P 1'
_space_group_IT_number 1
_cell_length_a 8.342
_cell_length_b 6.666
_cell_length_c 10.507
_cell_angle_alpha 76.13
_cell_angle_beta 90.00
_cell_angle_gamma 90.00
loop_
_space_group_symop_operation_xyz
'x,y,z'
loop_
_atom_site_label
_atom_site_type_symbol
_atom_site_fract_x
_atom_site_fract_y
_atom_site_fract_z
Ba1 Ba 0.966 0.465 0.841
Ba2 Ba 0.034 0.465 0.341
U1 U 0.767 0.019 0.680
U2 U 0.272 0.986 0.821
U3 U 0.728 0.986 0.321
U4 U 0.233 0.019 0.180
V1 V 0.099 0.881 0.555
V2 V 0.606 0.115 0.949
V3 V 0.394 0.115 0.449
V4 V 0.901 0.881 0.055
O1 O 0.728 0.742 0.725
O2 O 0.216 0.256 0.763
O3 O 0.784 0.256 0.263
O4 O 0.272 0.742 0.225
O5 O 0.185 0.032 0.393
O6 O 0.695 0.956 0.106
O7 O 0.305 0.956 0.606
O8 O 0.815 0.032 0.893
O9 O 0.833 0.289 0.640
O10 O 0.296 0.710 0.880
O11 O 0.704 0.710 0.380
O12 O 0.167 0.289 0.140
O13 O 0.092 0.636 0.555
O14 O 0.646 0.356 0.938
O15 O 0.354 0.356 0.438
O16 O 0.908 0.636 0.055
O17 O 0.037 0.895 0.720
O18 O 0.541 0.077 0.789
O19 O 0.459 0.077 0.289
O20 O 0.963 0.895 0.220
O21 O 0.909 0.990 0.493
O22 O 0.403 0.060 0.005
O23 O 0.597 0.060 0.505
O24 O 0.091 0.990 0.993

---

(7)
# PrHSe, optimized geometry, DFT meta-GGA r2SCAN
# Formation energy from the elements: -1660 meV per atom
data_PrHSe
_space_group_name_H-M_alt 'P 1'
_space_group_IT_number 1
_cell_length_a 4.053
_cell_length_b 4.053
_cell_length_c 8.040
_cell_angle_alpha 90.00
_cell_angle_beta 90.00
_cell_angle_gamma 120.00
loop_
_space_group_symop_operation_xyz
'x,y,z'
loop_
_atom_site_label
_atom_site_type_symbol
_atom_site_fract_x
_atom_site_fract_y
_atom_site_fract_z
Pr1 Pr 0.667 0.333 0.750
Pr2 Pr 0.333 0.667 0.250
H1 H 0.667 0.333 0.250
H2 H 0.333 0.667 0.750
Se1 Se 0.000 0.000 0.000
Se2 Se 0.000 0.000 0.500

---

(8)
# Zn3Rh, optimized geometry, DFT meta-GGA r2SCAN
# Formation energy from the elements: -353 meV per atom
data_Zn3Rh
_space_group_name_H-M_alt 'P 1'
_space_group_IT_number 1
_cell_length_a 4.784
_cell_length_b 4.784
_cell_length_c 4.784
_cell_angle_alpha 134.93
_cell_angle_beta 134.93
_cell_angle_gamma 65.64
loop_
_space_group_symop_operation_xyz
'x,y,z'
loop_
_atom_site_label
_atom_site_type_symbol
_atom_site_fract_x
_atom_site_fract_y
_atom_site_fract_z
Zn1 Zn 0.750 0.250 0.500
Zn2 Zn 0.250 0.750 0.500
Zn3 Zn 0.500 0.500 0.000
Rh1 Rh 0.000 0.000 0.000

---

(9)
# CeGaCo, optimized geometry, DFT meta-GGA r2SCAN
# Formation energy from the elements: -519 meV per atom
data_CeGaCo
_space_group_name_H-M_alt 'P 1'
_space_group_IT_number 1
_cell_length_a 5.947
_cell_length_b 5.947
_cell_length_c 4.666
_cell_angle_alpha 74.05
_cell_angle_beta 74.05
_cell_angle_gamma 43.39
loop_
_space_group_symop_operation_xyz
'x,y,z'
loop_
_atom_site_label
_atom_site_type_symbol
_atom_site_fract_x
_atom_site_fract_y
_atom_site_fract_z
Ce1 Ce 0.130 0.130 0.660
Ce2 Ce 0.870 0.870 0.340
Ga1 Ga 0.415 0.415 0.827
Ga2 Ga 0.585 0.585 0.173
Co1 Co 0.189 0.189 0.165
Co2 Co 0.811 0.811 0.835

---

(10)
# HoGa6, optimized geometry, DFT meta-GGA r2SCAN
# Formation energy from the elements: -339 meV per atom
data_HoGa6
_space_group_name_H-M_alt 'P 1'
_space_group_IT_number 1
_cell_length_a 5.903
_cell_length_b 5.903
_cell_length_c 7.496
_cell_angle_alpha 90.00
_cell_angle_beta 90.00
_cell_angle_gamma 90.00
loop_
_space_group_symop_operation_xyz
'x,y,z'
loop_
_atom_site_label
_atom_site_type_symbol
_atom_site_fract_x
_atom_site_fract_y
_atom_site_fract_z
Ho1 Ho 0.500 0.000 0.000
Ho2 Ho 0.000 0.500 0.000
Ga1 Ga 0.500 0.500 0.161
Ga2 Ga 0.000 0.000 0.161
Ga3 Ga 0.000 0.000 0.839
Ga4 Ga 0.500 0.500 0.839
Ga5 Ga 0.816 0.684 0.350
Ga6 Ga 0.316 0.816 0.350
Ga7 Ga 0.684 0.184 0.350
Ga8 Ga 0.184 0.316 0.350
Ga9 Ga 0.684 0.816 0.650
Ga10 Ga 0.184 0.684 0.650
Ga11 Ga 0.816 0.316 0.650
Ga12 Ga 0.316 0.184 0.650